Record 1
Li4Ti2V3Cr3O16: optimized geometry, GGA+U.

Space group: Cm, No. 8

Lattice parameters (Å, degrees): 5.902 5.902 9.549 89.76 89.76 60.03
Positions (direct):
Li: 0.671 0.671 0.106
Li: 0.998 0.998 0.006
Li: 0.997 0.997 0.505
Li: 0.336 0.336 0.609
Ti: 0.666 0.666 0.504
Ti: 0.331 0.331 0.002
V: 0.180 0.647 0.283
V: 0.825 0.825 0.780
V: 0.647 0.180 0.283
Cr: 0.340 0.829 0.786
Cr: 0.829 0.340 0.786
Cr: 0.168 0.168 0.287
O: 0.335 0.829 0.405
O: 0.522 0.522 0.660
O: 0.676 0.676 0.895
O: 0.993 0.993 0.694
O: 0.995 0.995 0.195
O: 0.829 0.335 0.405
O: 0.524 0.961 0.658
O: 0.961 0.524 0.658
O: 0.167 0.167 0.905
O: 0.829 0.829 0.405
O: 0.043 0.480 0.159
O: 0.480 0.043 0.159
O: 0.334 0.334 0.399
O: 0.167 0.662 0.904
O: 0.484 0.484 0.153
O: 0.662 0.167 0.904

Record 2
Li4V3Cr5O16: optimized geometry, GGA+U.

Space group: Cm, No. 8

Lattice parameters (Å, degrees): 5.869 5.869 9.533 89.30 89.30 60.52
Positions (direct):
Li: 0.668 0.668 0.892
Li: 0.002 0.002 0.997
Li: 0.998 0.998 0.496
Li: 0.337 0.337 0.391
V: 0.663 0.168 0.713
V: 0.830 0.830 0.211
V: 0.168 0.663 0.713
Cr: 0.833 0.339 0.214
Cr: 0.665 0.665 0.484
Cr: 0.339 0.833 0.214
Cr: 0.170 0.170 0.714
Cr: 0.331 0.331 0.985
O: 0.825 0.324 0.604
O: 0.521 0.521 0.341
O: 0.678 0.678 0.103
O: 0.994 0.994 0.310
O: 0.997 0.997 0.813
O: 0.324 0.825 0.604
O: 0.960 0.533 0.339
O: 0.533 0.960 0.339
O: 0.162 0.162 0.098
O: 0.833 0.833 0.608
O: 0.489 0.041 0.838
O: 0.041 0.489 0.838
O: 0.337 0.337 0.602
O: 0.672 0.150 0.107
O: 0.482 0.482 0.839
O: 0.150 0.672 0.107

Record 3
Li3V2CrO6: optimized geometry, GGA+U.

Lattice parameters (Å, degrees): 2.973 6.696 11.954 76.43 89.99 77.17
Positions (direct):
Li: 0.333 0.333 0.083
Li: 0.333 0.333 0.583
Li: 0.997 0.006 0.250
Li: 0.997 0.006 0.750
Li: 0.669 0.661 0.417
Li: 0.669 0.661 0.917
V: 0.000 0.001 0.000
V: 0.667 0.666 0.667
V: 0.000 0.001 0.500
V: 0.667 0.666 0.167
Cr: 0.333 0.333 0.333
Cr: 0.333 0.333 0.833
O: 0.495 0.011 0.881
O: 0.495 0.011 0.381
O: 0.172 0.656 0.286
O: 0.172 0.656 0.786
O: 0.164 0.672 0.048
O: 0.164 0.672 0.548
O: 0.503 0.994 0.619
O: 0.503 0.994 0.119
O: 0.831 0.339 0.217
O: 0.831 0.339 0.717
O: 0.836 0.328 0.450
O: 0.836 0.328 0.950

Record 4
Li3V3CrO8: optimized geometry, GGA+U.

Space group: P1, No. 1
Distance to the lowest polymorph of the same formula: 0.000 eV per atom

Lattice parameters (Å, degrees): 5.217 5.973 10.708 73.81 75.97 73.11
Positions (direct):
Li: 0.007 0.375 0.746
Li: 0.003 0.113 0.252
Li: 0.998 0.505 0.002
Li: 0.995 0.878 0.752
Li: 0.999 0.261 0.499
Li: 0.001 0.636 0.250
V: 0.497 0.185 0.878
V: 0.503 0.560 0.623
V: 0.493 0.931 0.382
V: 0.514 0.308 0.119
V: 0.479 0.696 0.877
V: 0.522 0.058 0.621
Cr: 0.493 0.440 0.373
Cr: 0.500 0.811 0.126
O: 0.283 0.779 0.308
O: 0.284 0.152 0.070
O: 0.266 0.524 0.813
O: 0.282 0.908 0.553
O: 0.281 0.273 0.307
O: 0.281 0.634 0.069
O: 0.282 0.037 0.801
O: 0.291 0.391 0.560
O: 0.715 0.599 0.432
O: 0.708 0.972 0.201
O: 0.717 0.353 0.948
O: 0.716 0.719 0.695
O: 0.719 0.107 0.431
O: 0.724 0.472 0.186
O: 0.709 0.848 0.939
O: 0.738 0.226 0.689

Record 5
Li3VCr3O8: optimized geometry, GGA+U.

Space group: P-1, No. 2
Distance to the lowest polymorph of the same formula: 0.540 eV per atom

Lattice parameters (Å, degrees): 5.864 5.932 5.948 119.55 90.19 119.48
Positions (direct):
Li: 0.500 0.000 0.500
Li: 0.500 0.500 0.500
Li: 0.000 0.500 0.500
V: 0.000 0.000 0.000
Cr: 0.500 0.000 0.000
Cr: 0.000 0.500 0.000
Cr: 0.500 0.500 0.000
O: 0.306 0.039 0.214
O: 0.313 0.548 0.216
O: 0.804 0.551 0.215
O: 0.211 0.974 0.775
O: 0.789 0.026 0.225
O: 0.196 0.449 0.785
O: 0.687 0.452 0.784
O: 0.694 0.961 0.786

Record 6
Li4V3Cr3O12: optimized geometry, GGA+U.

Space group: P-1, No. 2

Lattice parameters (Å, degrees): 5.175 6.003 7.877 78.17 77.92 72.89
Positions (direct):
Li: 0.496 0.834 0.165
Li: 0.504 0.166 0.835
Li: 0.002 0.666 0.335
Li: 0.998 0.334 0.665
V: 0.001 0.830 0.674
V: 0.000 0.500 0.000
V: 0.999 0.170 0.326
Cr: 0.496 0.669 0.833
Cr: 0.504 0.331 0.167
Cr: 0.500 0.000 0.500
O: 0.750 0.817 0.903
O: 0.259 0.984 0.732
O: 0.752 0.690 0.598
O: 0.735 0.362 0.925
O: 0.225 0.869 0.422
O: 0.229 0.527 0.755
O: 0.771 0.473 0.245
O: 0.775 0.131 0.578
O: 0.265 0.638 0.075
O: 0.248 0.310 0.402
O: 0.741 0.016 0.268
O: 0.250 0.183 0.097

Record 7
Li10V3Cr5O16: optimized geometry, GGA+U.

Space group: P1, No. 1

Lattice parameters (Å, degrees): 5.939 6.013 9.851 89.83 89.82 60.84
Positions (direct):
Li: 0.021 0.988 0.012
Li: 0.355 0.324 0.226
Li: 0.625 0.198 0.441
Li: 0.215 0.594 0.446
Li: 0.197 0.192 0.439
Li: 0.816 0.797 0.942
Li: 0.680 0.637 0.725
Li: 0.413 0.781 0.948
Li: 0.810 0.375 0.942
Li: 0.016 0.975 0.514
V: 0.664 0.149 0.711
V: 0.188 0.148 0.712
V: 0.849 0.326 0.211
Cr: 0.178 0.646 0.714
Cr: 0.348 0.315 0.973
Cr: 0.850 0.821 0.213
Cr: 0.683 0.650 0.471
Cr: 0.356 0.821 0.214
O: 0.184 0.660 0.094
O: 0.494 0.479 0.838
O: 0.687 0.145 0.087
O: 0.338 0.329 0.592
O: 0.032 0.477 0.840
O: 0.496 0.007 0.845
O: 0.851 0.806 0.594
O: 0.195 0.143 0.092
O: 0.530 0.966 0.338
O: 0.348 0.805 0.591
O: 0.992 0.513 0.339
O: 0.678 0.668 0.097
O: 0.517 0.510 0.338
O: 0.847 0.309 0.584
O: 0.024 0.979 0.324
O: 0.010 0.976 0.822

Record 8
Li4V3CrO8: optimized geometry, GGA+U.

Space group: P-1, No. 2
Distance to the lowest polymorph of the same formula: 0.006 eV per atom

Lattice parameters (Å, degrees): 5.188 5.996 10.756 98.09 103.72 106.97
Positions (direct):
Li: 0.999 0.250 0.000
Li: 0.748 0.872 0.748
Li: 0.247 0.623 0.250
Li: 0.500 0.000 0.500
Li: 0.001 0.750 0.000
Li: 0.753 0.377 0.750
Li: 0.252 0.128 0.252
Li: 0.500 0.500 0.500
V: 0.376 0.062 0.875
V: 0.625 0.437 0.125
V: 0.874 0.813 0.375
V: 0.375 0.563 0.875
V: 0.126 0.187 0.625
V: 0.624 0.938 0.125
Cr: 0.874 0.313 0.376
Cr: 0.126 0.687 0.624
O: 0.165 0.649 0.439
O: 0.585 0.473 0.311
O: 0.671 0.402 0.939
O: 0.083 0.222 0.811
O: 0.836 0.846 0.561
O: 0.417 0.023 0.688
O: 0.917 0.778 0.189
O: 0.329 0.598 0.061
O: 0.164 0.154 0.439
O: 0.583 0.977 0.312
O: 0.668 0.902 0.939
O: 0.083 0.723 0.809
O: 0.415 0.527 0.689
O: 0.917 0.277 0.191
O: 0.835 0.351 0.561
O: 0.332 0.098 0.061

Record 9
Li2V2CrO6: optimized geometry, GGA+U.

Space group: C2/m, No. 12

Lattice parameters (Å, degrees): 7.865 7.865 6.062 78.39 78.39 69.22
Positions (direct):
Li: 0.667 0.003 0.339
Li: 0.003 0.667 0.339
Li: 0.671 0.329 0.000
Li: 0.329 0.671 0.000
Li: 0.997 0.333 0.661
Li: 0.333 0.997 0.661
V: 0.334 0.334 0.829
V: 0.666 0.666 0.171
V: 0.671 0.994 0.836
V: 0.994 0.671 0.836
V: 0.006 0.329 0.164
V: 0.329 0.006 0.164
Cr: 0.666 0.334 0.500
Cr: 0.000 0.000 0.500
Cr: 0.334 0.666 0.500
O: 0.516 0.516 0.258
O: 0.500 0.840 0.946
O: 0.840 0.500 0.946
O: 0.484 0.484 0.742
O: 0.492 0.833 0.390
O: 0.833 0.492 0.390
O: 0.500 0.160 0.054
O: 0.818 0.818 0.088
O: 0.160 0.500 0.054
O: 0.508 0.167 0.610
O: 0.841 0.841 0.603
O: 0.167 0.508 0.610
O: 0.835 0.178 0.274
O: 0.178 0.835 0.274
O: 0.182 0.182 0.912
O: 0.822 0.165 0.726
O: 0.165 0.822 0.726
O: 0.159 0.159 0.397

Record 10
Li5V5Cr2O12: optimized geometry, GGA+U.

Space group: C2, No. 5

Lattice parameters (Å, degrees): 5.226 5.226 9.985 84.28 84.28 120.36
Positions (direct):
Li: 0.845 0.671 0.764
Li: 0.671 0.837 0.237
Li: 0.329 0.155 0.236
Li: 0.163 0.329 0.763
Li: 0.082 0.918 0.000
V: 0.995 0.507 0.245
V: 0.493 0.005 0.755
V: 0.581 0.419 0.500
V: 0.420 0.580 0.000
V: 0.918 0.082 0.500
Cr: 0.749 0.251 0.000
Cr: 0.249 0.751 0.500
O: 0.035 0.225 0.120
O: 0.775 0.965 0.880
O: 0.877 0.374 0.612
O: 0.626 0.123 0.388
O: 0.699 0.522 0.118
O: 0.478 0.301 0.882
O: 0.536 0.719 0.613
O: 0.281 0.464 0.387
O: 0.389 0.868 0.119
O: 0.132 0.611 0.881
O: 0.206 0.030 0.615
O: 0.970 0.794 0.385

Record 11
Li4V3Cr2O10: optimized geometry, GGA+U.

Space group: P1, No. 1

Lattice parameters (Å, degrees): 5.131 5.156 7.847 72.13 72.12 79.79
Positions (direct):
Li: 0.504 0.777 0.432
Li: 0.978 0.500 0.506
Li: 0.485 0.381 0.232
Li: 0.500 0.202 0.589
V: 0.500 0.998 0.999
V: 0.996 0.320 0.885
V: 0.004 0.690 0.107
Cr: 0.012 0.899 0.688
Cr: 0.996 0.099 0.307
O: 0.226 0.970 0.860
O: 0.778 0.668 0.942
O: 0.780 0.878 0.536
O: 0.254 0.768 0.229
O: 0.211 0.537 0.670
O: 0.778 0.457 0.329
O: 0.764 0.224 0.772
O: 0.233 0.130 0.456
O: 0.225 0.323 0.054
O: 0.765 0.060 0.135

Record 12
Li2VCr2O6: optimized geometry, GGA+U.

Space group: C2/m, No. 12
Distance to the lowest polymorph of the same formula: 0.000 eV per atom

Lattice parameters (Å, degrees): 7.871 7.871 6.003 78.10 78.10 69.36
Positions (direct):
Li: 0.001 0.333 0.673
Li: 0.333 0.001 0.673
Li: 0.999 0.667 0.327
Li: 0.667 0.999 0.327
Li: 0.331 0.669 0.000
Li: 0.669 0.331 0.000
V: 0.336 0.664 0.500
V: 0.000 0.000 0.500
V: 0.664 0.336 0.500
Cr: 0.002 0.331 0.164
Cr: 0.665 0.665 0.164
Cr: 0.331 0.002 0.164
Cr: 0.998 0.669 0.836
Cr: 0.669 0.998 0.836
Cr: 0.335 0.335 0.836
O: 0.505 0.505 0.271
O: 0.844 0.501 0.940
O: 0.501 0.844 0.940
O: 0.495 0.495 0.729
O: 0.825 0.483 0.402
O: 0.483 0.825 0.402
O: 0.156 0.499 0.060
O: 0.822 0.822 0.069
O: 0.499 0.156 0.060
O: 0.175 0.517 0.598
O: 0.850 0.850 0.588
O: 0.517 0.175 0.598
O: 0.175 0.832 0.278
O: 0.832 0.175 0.278
O: 0.178 0.178 0.931
O: 0.168 0.825 0.722
O: 0.825 0.168 0.722
O: 0.150 0.150 0.412

no.,final energy (eV/cell),formation energy from the elements (eV per atom),corrected total energy (MP2020 scheme) (eV/atom)
1,-211.2,-2.66,-8.3301
2,-203.4,-2.40,-8.1945
3,-166.6,-2.46,-7.7337
4,-212.5,-2.44,-7.9234
5,-98.0,-1.86,-7.4131
6,-156.8,-2.41,-8.0081
7,-224.2,-2.25,-7.3617
8,-221.8,-2.46,-7.7195
9,-235.2,-2.42,-7.9935
10,-169.4,-2.35,-7.9230
11,-133.2,-2.39,-7.8506
12,-235.1,-2.39,-8.0165